[1]
The following is a DFT calculation (GGA-PBE) of InNi3 after structural relaxation.

Values from the calculation:
V = 104.5 Å³ per cell
space group = No. 194
formation enthalpy at 0 K = -64 meV/atom
uncorrected energy = -5.0867 eV/atom

abc: 5.353 5.353 4.211
angles: 90.00 90.00 120.00
Positions (direct):
Ni (0.156, 0.844, 0.750)
Ni (0.687, 0.844, 0.750)
Ni (0.844, 0.156, 0.250)
Ni (0.844, 0.687, 0.250)
Ni (0.313, 0.156, 0.250)
In (0.333, 0.667, 0.250)
Ni (0.156, 0.313, 0.750)
In (0.667, 0.333, 0.750)

***

[2]
The following is a DFT calculation (GGA-PBE) of Mg6VCu after structural relaxation.

Values from the calculation:
V = 317.6 Å³ per cell
formation enthalpy at 0 K = 178 meV/atom
uncorrected energy = -2.6705 eV/atom

abc: 4.899 6.165 10.516
angles: 90.00 90.00 90.00
Positions (direct):
Mg (0.000, 0.759, 0.592)
V (0.500, 0.500, 0.167)
Cu (0.000, 0.500, 0.322)
Mg (0.000, 0.500, 0.836)
Mg (0.500, 0.500, 0.664)
Mg (0.500, 0.000, 0.164)
V (0.500, 0.000, 0.667)
Mg (0.500, 0.261, 0.413)
Mg (0.500, 0.739, 0.413)
Cu (0.000, 0.000, 0.822)
Mg (0.500, 0.761, 0.913)
Mg (0.000, 0.741, 0.092)
Mg (0.000, 0.241, 0.592)
Mg (0.500, 0.239, 0.913)
Mg (0.000, 0.000, 0.336)
Mg (0.000, 0.259, 0.092)

***

[3]
The following is a DFT calculation (GGA-PBE) of Na10Hf5Mg3P12O48 after structural relaxation.

Values from the calculation:
V = 3137.9 Å³ per cell
space group = No. 1
formation enthalpy at 0 K = -3027 meV/atom
uncorrected energy = -7.3517 eV/atom

abc: 17.902 8.957 22.607
angles: 89.99 89.99 120.05
Positions (direct):
O (0.244, 0.363, 0.138)
Hf (0.000, 0.000, 0.150)
O (0.894, 0.813, 0.193)
O (0.565, 0.643, 0.365)
P (0.520, 0.669, 0.419)
O (0.850, 0.158, 0.029)
Na (0.000, 0.000, 0.996)
O (0.571, 0.491, 0.577)
O (0.582, 0.690, 0.756)
O (0.748, 0.141, 0.922)
O (0.321, 0.139, 0.422)
P (0.332, 0.625, 0.585)
O (0.843, 0.160, 0.746)
P (0.313, 0.667, 0.918)
O (0.416, 0.809, 0.589)
Na (0.828, 0.965, 0.579)
Na (0.328, 0.691, 0.080)
P (0.832, 0.041, 0.084)
Na (0.335, 0.338, 0.325)
O (0.765, 0.830, 0.756)
P (0.149, 0.002, 0.250)
Na (0.163, 0.655, 0.165)
P (0.000, 0.704, 0.750)
O (0.657, 0.477, 0.756)
O (0.404, 0.828, 0.909)
O (0.396, 0.822, 0.196)
O (0.510, 0.192, 0.910)
O (0.071, 0.492, 0.577)
P (0.022, 0.669, 0.419)
O (0.013, 0.816, 0.692)
O (0.010, 0.829, 0.410)
O (0.840, 0.522, 0.246)
Na (0.661, 0.028, 0.412)
Na (0.018, 0.345, 0.080)
O (0.174, 0.491, 0.077)
Na (0.352, 0.676, 0.411)
O (0.930, 0.505, 0.422)
O (0.904, 0.827, 0.909)
O (0.489, 0.802, 0.802)
Na (0.828, 0.692, 0.079)
O (0.343, 0.160, 0.746)
O (0.916, 0.025, 0.089)
O (0.239, 0.158, 0.246)
P (0.021, 0.374, 0.920)
Hf (0.501, 0.002, 0.854)
O (0.921, 0.542, 0.029)
O (0.737, 0.165, 0.244)
P (0.480, 0.336, 0.585)
P (0.688, 0.041, 0.584)
P (0.813, 0.958, 0.420)
O (0.895, 0.970, 0.694)
Hf (0.664, 0.667, 0.816)
Hf (0.333, 0.325, 0.479)
P (0.500, 0.704, 0.750)
O (0.749, 0.353, 0.422)
Hf (0.000, 0.000, 0.352)
O (0.251, 0.363, 0.423)
O (0.746, 0.129, 0.636)
O (0.731, 0.303, 0.031)
O (0.989, 0.802, 0.802)
O (0.066, 0.489, 0.865)
O (0.239, 0.320, 0.746)
O (0.591, 0.975, 0.195)
Hf (0.164, 0.668, 0.816)
O (0.403, 0.974, 0.411)
Na (0.654, 0.964, 0.080)
O (0.405, 0.791, 0.308)
P (0.521, 0.374, 0.920)
O (0.929, 0.356, 0.922)
O (0.776, 0.859, 0.477)
Mg (0.667, 0.664, 0.515)
O (0.819, 0.139, 0.423)
O (0.678, 0.484, 0.362)
O (0.178, 0.868, 0.865)
O (0.917, 0.810, 0.589)
O (0.588, 0.187, 0.412)
O (0.153, 0.858, 0.976)
O (0.438, 0.366, 0.639)
P (0.149, 0.296, 0.750)
O (0.991, 0.178, 0.303)
O (0.254, 0.651, 0.578)
Hf (0.001, 0.003, 0.650)
O (0.410, 0.018, 0.803)
O (0.910, 0.801, 0.303)
O (0.600, 0.180, 0.803)
O (0.093, 0.976, 0.193)
O (0.678, 0.868, 0.865)
Hf (0.665, 0.668, 0.315)
Mg (0.166, 0.666, 0.515)
O (0.421, 0.300, 0.530)
O (0.067, 0.645, 0.365)
O (0.254, 0.858, 0.077)
Na (0.000, 0.999, 0.494)
P (0.832, 0.626, 0.586)
P (0.480, 0.623, 0.084)
O (0.273, 0.692, 0.974)
O (0.181, 0.492, 0.366)
P (0.332, 0.040, 0.086)
P (0.353, 0.003, 0.750)
Na (0.666, 0.677, 0.165)
O (0.921, 0.301, 0.529)
O (0.586, 0.981, 0.910)
P (0.666, 0.959, 0.920)
O (0.438, 0.510, 0.138)
O (0.341, 0.524, 0.245)
P (0.852, 0.702, 0.250)
O (0.156, 0.837, 0.256)
Mg (0.836, 0.330, 0.186)
P (0.188, 0.040, 0.585)
O (0.258, 0.644, 0.861)
O (0.573, 0.695, 0.475)
O (0.265, 0.830, 0.756)
O (0.988, 0.808, 0.089)
O (0.100, 0.019, 0.303)
O (0.653, 0.858, 0.976)
O (0.319, 0.516, 0.640)
O (0.674, 0.857, 0.577)
Mg (0.834, 0.327, 0.687)
P (0.314, 0.957, 0.418)
O (0.082, 0.471, 0.256)
O (0.096, 0.025, 0.589)
O (0.566, 0.489, 0.865)
O (0.758, 0.644, 0.861)
P (0.166, 0.959, 0.920)
O (0.656, 0.454, 0.475)
Na (0.834, 0.321, 0.829)
Mg (0.499, 0.005, 0.350)
P (0.980, 0.336, 0.585)
Na (0.662, 0.668, 0.666)
O (0.584, 0.472, 0.256)
O (0.822, 0.503, 0.922)
O (0.754, 0.858, 0.077)
O (0.919, 0.310, 0.246)
O (0.741, 0.363, 0.141)
Na (0.334, 0.321, 0.829)
O (0.416, 0.024, 0.090)
Na (0.018, 0.692, 0.579)
Na (0.154, 0.963, 0.079)
Na (0.328, 0.963, 0.580)
O (0.348, 0.541, 0.529)
O (0.428, 0.506, 0.423)
Na (0.818, 0.627, 0.749)
P (0.499, 0.293, 0.251)
Na (0.154, 0.345, 0.579)
Mg (0.334, 0.327, 0.687)
O (0.596, 0.167, 0.089)
O (0.488, 0.168, 0.590)
O (0.319, 0.119, 0.142)
Hf (0.836, 0.340, 0.479)
O (0.071, 0.449, 0.976)
O (0.096, 0.167, 0.089)
Hf (0.501, 0.002, 0.650)
O (0.012, 0.209, 0.193)
O (0.071, 0.651, 0.077)
O (0.174, 0.857, 0.578)
O (0.937, 0.511, 0.138)
O (0.010, 0.192, 0.910)
Mg (0.167, 0.667, 0.015)
Hf (0.500, 0.997, 0.151)
O (0.419, 0.311, 0.243)
P (0.665, 0.371, 0.418)
O (0.773, 0.692, 0.974)
O (0.249, 0.141, 0.922)
O (0.596, 0.026, 0.589)
P (0.166, 0.373, 0.420)
Na (0.321, 0.009, 0.249)
P (0.688, 0.335, 0.086)
O (0.071, 0.694, 0.476)
O (0.988, 0.168, 0.590)
Na (0.843, 0.340, 0.326)
O (0.322, 0.503, 0.922)
O (0.349, 0.161, 0.031)
Na (0.318, 0.627, 0.749)
O (0.516, 0.212, 0.193)
O (0.245, 0.125, 0.638)
Na (0.162, 0.667, 0.666)
O (0.513, 0.816, 0.692)
O (0.100, 0.180, 0.803)
P (0.853, 0.003, 0.750)
O (0.486, 0.177, 0.303)
Na (0.500, 0.013, 0.490)
O (0.739, 0.320, 0.746)
Hf (0.001, 0.002, 0.854)
O (0.571, 0.652, 0.077)
P (0.649, 0.002, 0.252)
O (0.761, 0.685, 0.256)
O (0.229, 0.301, 0.029)
O (0.272, 0.849, 0.473)
O (0.754, 0.651, 0.578)
Hf (0.833, 0.334, 0.979)
P (0.649, 0.296, 0.750)
O (0.938, 0.366, 0.638)
O (0.819, 0.519, 0.642)
P (0.998, 0.293, 0.250)
O (0.157, 0.477, 0.756)
O (0.087, 0.191, 0.410)
O (0.917, 0.530, 0.745)
O (0.910, 0.018, 0.803)
P (0.813, 0.667, 0.918)
Na (0.518, 0.344, 0.080)
Mg (0.667, 0.667, 0.015)
O (0.429, 0.355, 0.922)
Hf (0.164, 0.662, 0.314)
O (0.082, 0.690, 0.756)
Na (0.654, 0.345, 0.578)
O (0.487, 0.807, 0.090)
O (0.086, 0.981, 0.910)
O (0.904, 0.983, 0.410)
O (0.263, 0.697, 0.256)
O (0.727, 0.153, 0.527)
O (0.417, 0.530, 0.745)
Na (0.685, 0.358, 0.249)
Mg (0.334, 0.342, 0.186)
O (0.257, 0.870, 0.362)
O (0.094, 0.213, 0.693)
P (0.188, 0.335, 0.085)
P (0.353, 0.702, 0.253)
O (0.849, 0.538, 0.532)
O (0.817, 0.124, 0.138)
Na (0.500, 0.000, 0.996)
O (0.229, 0.157, 0.529)
O (0.421, 0.542, 0.029)
O (0.605, 0.026, 0.307)
O (0.571, 0.449, 0.976)
O (0.656, 0.837, 0.256)
O (0.675, 0.491, 0.077)
Na (0.518, 0.692, 0.580)
O (0.395, 0.970, 0.694)
Hf (0.333, 0.334, 0.978)
O (0.593, 0.212, 0.693)
O (0.753, 0.868, 0.366)
O (0.153, 0.449, 0.477)
O (0.509, 0.827, 0.412)
P (0.979, 0.623, 0.085)

***

[4]
The following is a DFT calculation (GGA-PBE) of CsCaO3 after structural relaxation.

Values from the calculation:
V = 102.8 Å³ per cell
space group = No. 221
formation enthalpy at 0 K = -1486 meV/atom
uncorrected energy = -4.6224 eV/atom

abc: 4.685 4.685 4.685
angles: 90.00 90.00 90.00
Positions (direct):
O (0.000, 0.500, 0.500)
O (0.500, 0.000, 0.500)
Cs (0.000, 0.000, 0.000)
Ca (0.500, 0.500, 0.500)
O (0.500, 0.500, 0.000)

***

What is the uncorrected energy in the first record?
-5.0867 eV/atom